A plane-wave DFT calculation with GGA-PBE was carried out for a geometry-optimized La2HfO5 structure.

Total moment   0.0 μB/cell
ρ   7.1 g/cm3
E_tot   -0.335 hartree per atom
Calculated volume   15.76 Å³/atom
Space-group type   No. 62

```
La2HfO5
1.0
7.8253 0.0000 0.0000
0.0000 3.9090 0.0000
0.0000 0.0000 16.4875
La Hf O
8 4 20
Cartesian
0.8298 0.9772 1.3738
1.2000 0.9772 12.2357
2.7126 2.9317 3.9920
3.0829 2.9317 9.6176
4.7424 0.9772 6.8699
5.1127 0.9772 12.4956
6.6253 2.9317 4.2518
6.9955 2.9317 15.1137
0.8621 0.9772 7.0520
3.0506 2.9317 15.2957
4.7747 0.9772 1.1918
6.9632 2.9317 9.4356
0.5946 2.9317 7.5807
0.6632 2.9317 2.8432
0.8529 2.9317 10.6970
1.2421 2.9317 16.4177
1.8843 2.9317 13.6385
2.0283 0.9772 5.3948
2.6706 0.9772 8.1740
3.0598 0.9772 2.4532
3.2494 0.9772 11.0870
3.3181 0.9772 15.8244
4.5072 2.9317 0.6631
4.5759 2.9317 5.4006
4.7655 2.9317 14.0343
5.1547 2.9317 8.3136
5.7970 2.9317 11.0928
5.9410 0.9772 2.8490
6.5832 0.9772 0.0698
6.9724 0.9772 5.7905
7.1621 0.9772 13.6443
7.2308 0.9772 8.9069
```